1.
This record from the Materials Project describes an optimized crystal structure of TaAl2Ni9. The functional is PBE-GGA.

abc: 3.606 3.606 10.650
angles: 90.00 90.00 90.00
Fractional coordinates of all 12 atoms:
Ni 0.500 0.000 0.828
Ni 0.000 0.500 0.172
Al 0.000 0.000 0.660
Ni 0.500 0.500 0.000
Ni 0.500 0.500 0.664
Ni 0.500 0.000 0.172
Ni 0.500 0.500 0.336
Ta 0.000 0.000 0.000
Ni 0.500 0.000 0.500
Al 0.000 0.000 0.340
Ni 0.000 0.500 0.500
Ni 0.000 0.500 0.828

Values from the calculation:
Its calculated volume is 11.5 A^3/atom. The space group is P4/mmm (123). The theoretical density comes out at 9.15 Mg/m³. The formation energy comes out at -5.25 eV/f.u.

=====

2.
This record from the Materials Project describes an optimized crystal structure of Ba3SbP. The functional is PBE-GGA.

abc: 6.113 6.113 6.113
angles: 90.00 90.00 90.00
Fractional coordinates of all 5 atoms:
Sb 0.000 0.000 0.000
P 0.500 0.500 0.500
Ba 0.500 0.500 0.000
Ba 0.500 0.000 0.500
Ba 0.000 0.500 0.500

Values from the calculation:
Its calculated volume is 45.7 A^3/atom. The space group is Pm-3m (221). The theoretical density comes out at 4.10 Mg/m³. The formation energy comes out at -4.22 eV/f.u.

=====

3.
This record from the Materials Project describes an optimized crystal structure of K2VAgSe4. The functional is PBE-GGA.

abc: 13.615 12.162 7.458
angles: 84.25 62.72 33.03
Fractional coordinates of all 16 atoms:
Ag 0.000 0.000 0.000
Se 0.249 0.868 0.547
Se 0.382 0.001 0.913
Se 0.868 0.249 0.337
K 0.682 0.682 0.318
Se 0.913 0.703 0.382
K 0.318 0.318 0.682
Se 0.337 0.547 0.868
V 0.500 0.500 0.500
Se 0.547 0.337 0.249
Ag 0.250 0.250 0.250
K 0.568 0.568 0.932
Se 0.703 0.913 0.001
K 0.932 0.932 0.568
V 0.750 0.750 0.750
Se 0.001 0.382 0.703

Values from the calculation:
Its calculated volume is 30.3 A^3/atom. The space group is Fddd (70). The theoretical density comes out at 3.79 Mg/m³. The formation energy comes out at -8.73 eV/f.u.

=====

4.
This record from the Materials Project describes an optimized crystal structure of Cs5Si3AgO9. The functional is PBE-GGA.

abc: 6.620 9.893 11.797
angles: 86.18 90.00 90.00
Fractional coordinates of all 36 atoms:
Cs 0.250 0.339 0.063
Cs 0.750 0.539 0.602
Si 0.750 0.443 0.210
Cs 0.250 0.223 0.686
O 0.250 0.601 0.650
O 0.457 0.757 0.492
Cs 0.750 0.274 0.858
O 0.750 0.291 0.147
O 0.542 0.053 0.165
O 0.250 0.871 0.659
O 0.042 0.947 0.835
O 0.044 0.476 0.825
Cs 0.750 0.952 0.619
O 0.250 0.709 0.853
Si 0.250 0.557 0.790
O 0.750 0.399 0.350
Cs 0.750 0.777 0.314
Cs 0.750 0.661 0.937
O 0.458 0.947 0.835
Si 0.250 0.746 0.565
O 0.456 0.476 0.825
O 0.750 0.129 0.341
Si 0.750 0.254 0.435
Cs 0.250 0.048 0.381
Cs 0.250 0.726 0.142
Ag 0.000 0.000 0.000
Si 0.750 0.130 0.201
O 0.543 0.243 0.508
O 0.958 0.053 0.165
Cs 0.250 0.461 0.398
O 0.043 0.757 0.492
O 0.544 0.524 0.175
Si 0.250 0.870 0.799
O 0.957 0.243 0.508
O 0.956 0.524 0.175
Ag 0.500 0.000 0.000

Values from the calculation:
Its calculated volume is 21.4 A^3/atom. The space group is P2_1/m (11). The theoretical density comes out at 4.31 Mg/m³. The formation energy comes out at -45.10 eV/f.u.